First-principles (PBE-GGA) data for a relaxed Ni21Sn2P6 crystal, as listed in the Materials Project database.

a b c (Å): 7.851 7.851 7.851
angles (deg): 60.00 60.00 60.00
Atoms (fractional coordinates):
Ni1 0.000 0.000 0.000
Ni2 0.000 0.000 0.348
Ni3 0.000 0.000 0.652
Ni4 0.000 0.348 0.000
Ni5 0.000 0.348 0.652
Ni6 0.000 0.652 0.000
Ni7 0.000 0.652 0.348
Ni8 0.152 0.616 0.616
Ni9 0.348 0.000 0.000
Ni10 0.348 0.000 0.652
Ni11 0.348 0.652 0.000
Ni12 0.384 0.384 0.384
Ni13 0.384 0.384 0.848
Ni14 0.384 0.848 0.384
Ni15 0.616 0.152 0.616
Ni16 0.616 0.616 0.152
Ni17 0.616 0.616 0.616
Ni18 0.652 0.000 0.000
Ni19 0.652 0.000 0.348
Ni20 0.652 0.348 0.000
Ni21 0.848 0.384 0.384
Sn1 0.250 0.250 0.250
Sn2 0.750 0.750 0.750
P1 0.262 0.262 0.738
P2 0.262 0.738 0.262
P3 0.262 0.738 0.738
P4 0.738 0.262 0.262
P5 0.738 0.262 0.738
P6 0.738 0.738 0.262

Results
The total energy is -173.964 eV/f.u. The space-group type is No. 225. The formation energy is -0.417 eV/atom. The value obtained for the size of the total moment is 0.00 μB per cell.


First-principles (PBE-GGA) data for a relaxed Ni10SnP3 crystal, as listed in the Materials Project database.

a b c (Å): 7.672 7.672 9.610
angles (deg): 90.00 90.00 120.00
Atoms (fractional coordinates):
Ni1 0.000 0.000 0.120
Ni2 0.000 0.000 0.880
Ni3 0.000 0.338 0.000
Ni4 0.000 0.662 0.000
Ni5 0.019 0.509 0.740
Ni6 0.138 0.275 0.300
Ni7 0.138 0.862 0.300
Ni8 0.189 0.378 0.573
Ni9 0.189 0.811 0.573
Ni10 0.275 0.138 0.700
Ni11 0.333 0.667 0.404
Ni12 0.333 0.667 0.884
Ni13 0.338 0.000 0.000
Ni14 0.338 0.338 0.000
Ni15 0.378 0.189 0.427
Ni16 0.491 0.509 0.740
Ni17 0.491 0.981 0.740
Ni18 0.509 0.019 0.260
Ni19 0.509 0.491 0.260
Ni20 0.622 0.811 0.573
Ni21 0.662 0.000 0.000
Ni22 0.662 0.662 0.000
Ni23 0.667 0.333 0.116
Ni24 0.667 0.333 0.596
Ni25 0.725 0.862 0.300
Ni26 0.811 0.189 0.427
Ni27 0.811 0.622 0.427
Ni28 0.862 0.138 0.700
Ni29 0.862 0.725 0.700
Ni30 0.981 0.491 0.260
Sn1 0.000 0.000 0.500
Sn2 0.333 0.667 0.139
Sn3 0.667 0.333 0.861
P1 0.000 0.500 0.500
P2 0.164 0.329 0.809
P3 0.164 0.836 0.809
P4 0.329 0.164 0.191
P5 0.500 0.000 0.500
P6 0.500 0.500 0.500
P7 0.671 0.836 0.809
P8 0.836 0.164 0.191
P9 0.836 0.671 0.191

Results
The total energy is -84.099 eV/f.u. The space-group type is No. 164. The formation energy is -0.432 eV/atom. The value obtained for the size of the total moment is 0.00 μB per cell.


First-principles (PBE-GGA) data for a relaxed Ni13Sn8P3 crystal, as listed in the Materials Project database.

a b c (Å): 6.464 11.426 20.242
angles (deg): 94.66 93.68 91.02
Atoms (fractional coordinates):
Ni1 0.000 0.000 0.000
Ni2 0.021 0.341 0.140
Ni3 0.037 0.715 0.247
Ni4 0.071 0.366 0.552
Ni5 0.084 0.014 0.399
Ni6 0.096 0.785 0.374
Ni7 0.112 0.702 0.683
Ni8 0.128 0.078 0.795
Ni9 0.155 0.721 0.112
Ni10 0.176 0.378 0.945
Ni11 0.186 0.146 0.921
Ni12 0.208 0.427 0.363
Ni13 0.238 0.034 0.238
Ni14 0.246 0.084 0.660
Ni15 0.269 0.743 0.491
Ni16 0.305 0.785 0.910
Ni17 0.331 0.395 0.784
Ni18 0.345 0.475 0.184
Ni19 0.349 0.599 0.299
Ni20 0.381 0.088 0.035
Ni21 0.385 0.824 0.291
Ni22 0.411 0.134 0.457
Ni23 0.437 0.837 0.729
Ni24 0.441 0.958 0.847
Ni25 0.452 0.465 0.592
Ni26 0.477 0.185 0.839
Ni27 0.500 0.500 0.000
Ni28 0.523 0.815 0.161
Ni29 0.548 0.535 0.408
Ni30 0.559 0.042 0.153
Ni31 0.563 0.163 0.271
Ni32 0.589 0.866 0.543
Ni33 0.615 0.176 0.709
Ni34 0.619 0.912 0.965
Ni35 0.651 0.401 0.701
Ni36 0.655 0.525 0.816
Ni37 0.669 0.605 0.216
Ni38 0.695 0.215 0.090
Ni39 0.731 0.257 0.509
Ni40 0.754 0.916 0.340
Ni41 0.762 0.966 0.762
Ni42 0.792 0.573 0.637
Ni43 0.814 0.854 0.079
Ni44 0.824 0.622 0.055
Ni45 0.845 0.279 0.888
Ni46 0.872 0.922 0.205
Ni47 0.888 0.298 0.317
Ni48 0.904 0.215 0.626
Ni49 0.916 0.986 0.601
Ni50 0.929 0.634 0.448
Ni51 0.963 0.285 0.753
Ni52 0.979 0.659 0.860
Sn1 0.004 0.473 0.250
Sn2 0.022 0.231 0.026
Sn3 0.081 0.132 0.519
Sn4 0.097 0.834 0.794
Sn5 0.115 0.591 0.566
Sn6 0.167 0.499 0.065
Sn7 0.189 0.949 0.115
Sn8 0.236 0.193 0.342
Sn9 0.257 0.862 0.610
Sn10 0.276 0.311 0.661
Sn11 0.327 0.554 0.887
Sn12 0.364 0.239 0.160
Sn13 0.390 0.362 0.475
Sn14 0.441 0.909 0.424
Sn15 0.456 0.603 0.708
Sn16 0.469 0.727 0.028
Sn17 0.531 0.273 0.972
Sn18 0.544 0.397 0.292
Sn19 0.559 0.091 0.576
Sn20 0.610 0.638 0.525
Sn21 0.636 0.761 0.840
Sn22 0.673 0.446 0.113
Sn23 0.724 0.689 0.339
Sn24 0.743 0.138 0.390
Sn25 0.764 0.807 0.658
Sn26 0.811 0.051 0.885
Sn27 0.833 0.501 0.935
Sn28 0.885 0.409 0.434
Sn29 0.903 0.166 0.206
Sn30 0.919 0.868 0.481
Sn31 0.978 0.769 0.974
Sn32 0.996 0.527 0.750
P1 0.071 0.911 0.297
P2 0.163 0.275 0.844
P3 0.234 0.616 0.401
P4 0.295 0.971 0.944
P5 0.345 0.674 0.202
P6 0.437 0.036 0.749
P7 0.563 0.964 0.251
P8 0.655 0.326 0.798
P9 0.705 0.029 0.056
P10 0.766 0.384 0.599
P11 0.837 0.725 0.156
P12 0.929 0.089 0.703

Results
The total energy is -131.977 eV/f.u. The space-group type is No. 2. The formation energy is -0.355 eV/atom. The value obtained for the size of the total moment is 0.03 μB per cell.


First-principles (PBE-GGA) data for a relaxed Ni2SnP crystal, as listed in the Materials Project database.

a b c (Å): 12.946 3.590 5.094
angles (deg): 90.00 90.00 90.00
Atoms (fractional coordinates):
Ni1 0.081 0.250 0.014
Ni2 0.112 0.250 0.499
Ni3 0.388 0.750 0.999
Ni4 0.419 0.750 0.514
Ni5 0.581 0.250 0.486
Ni6 0.612 0.250 0.001
Ni7 0.888 0.750 0.501
Ni8 0.919 0.750 0.986
Sn1 0.207 0.750 0.783
Sn2 0.293 0.250 0.283
Sn3 0.707 0.750 0.717
Sn4 0.793 0.250 0.217
P1 0.044 0.750 0.283
P2 0.456 0.250 0.783
P3 0.544 0.750 0.217
P4 0.956 0.250 0.717

Results
The total energy is -22.571 eV/f.u. The space-group type is No. 62. The formation energy is -0.397 eV/atom.


First-principles (PBE-GGA) data for a relaxed SrNi5P3 crystal, as listed in the Materials Project database.

a b c (Å): 6.145 6.145 11.612
angles (deg): 90.00 90.00 145.85
Atoms (fractional coordinates):
Sr1 0.162 0.838 0.750
Sr2 0.838 0.162 0.250
Ni1 0.000 0.000 0.000
Ni2 0.000 0.000 0.500
Ni3 0.198 0.802 0.068
Ni4 0.198 0.802 0.432
Ni5 0.450 0.550 0.645
Ni6 0.450 0.550 0.855
Ni7 0.550 0.450 0.145
Ni8 0.550 0.450 0.355
Ni9 0.802 0.198 0.568
Ni10 0.802 0.198 0.932
P1 0.115 0.885 0.250
P2 0.381 0.619 0.037
P3 0.381 0.619 0.463
P4 0.619 0.381 0.537
P5 0.619 0.381 0.963
P6 0.885 0.115 0.750

Results
The total energy is -53.197 eV/f.u. The space-group type is No. 63. The formation energy is -0.707 eV/atom.


First-principles (PBE-GGA) data for a relaxed SrNi9P5 crystal, as listed in the Materials Project database.

a b c (Å): 6.509 6.509 10.769
angles (deg): 90.00 90.00 120.00
Atoms (fractional coordinates):
Sr1 0.000 0.000 0.000
Sr2 0.000 0.000 0.500
Ni1 0.072 0.536 0.107
Ni2 0.072 0.536 0.393
Ni3 0.203 0.405 0.750
Ni4 0.203 0.797 0.750
Ni5 0.405 0.203 0.250
Ni6 0.464 0.536 0.107
Ni7 0.464 0.536 0.393
Ni8 0.464 0.928 0.107
Ni9 0.464 0.928 0.393
Ni10 0.536 0.072 0.607
Ni11 0.536 0.072 0.893
Ni12 0.536 0.464 0.607
Ni13 0.536 0.464 0.893
Ni14 0.595 0.797 0.750
Ni15 0.797 0.203 0.250
Ni16 0.797 0.595 0.250
Ni17 0.928 0.464 0.607
Ni18 0.928 0.464 0.893
P1 0.174 0.348 0.250
P2 0.174 0.826 0.250
P3 0.333 0.667 0.562
P4 0.333 0.667 0.938
P5 0.348 0.174 0.750
P6 0.652 0.826 0.250
P7 0.667 0.333 0.062
P8 0.667 0.333 0.438
P9 0.826 0.174 0.750
P10 0.826 0.652 0.750

Results
The total energy is -90.641 eV/f.u. The space-group type is No. 194. The formation energy is -0.658 eV/atom.